A plane-wave DFT calculation with PBE with a Hubbard U was carried out for crystalline Li4MnCo2O7 at its relaxed geometry.

The structure in extended XYZ format:
```
28
Lattice="9.796 -1.465 0.000 9.796 1.465 0.000 -4.302 0.000 8.787" Properties=species:S:1:pos:R:3 pbc="T T T"
Li 0.000 0.000 0.000
Li -2.076 0.000 6.871
Li 2.549 0.000 3.116
Li 3.214 0.000 8.158
Li 7.647 0.000 4.430
Li 12.079 0.000 0.607
Li 12.632 0.000 5.648
Li 17.390 0.000 1.835
Mn 10.288 0.000 7.533
Mn 14.940 0.000 3.741
Co 0.293 0.000 4.870
Co 4.974 0.000 1.242
Co 5.360 0.000 6.466
Co 9.958 0.000 2.303
O -0.948 0.000 3.528
O 1.305 0.000 1.607
O -0.464 0.000 8.450
O 1.483 0.000 6.704
O 4.132 0.000 4.524
O 6.109 0.000 2.819
O 8.657 0.000 1.049
O 6.631 0.000 7.720
O 9.116 0.000 6.038
O 11.233 0.000 4.132
O 13.819 0.000 2.116
O 15.722 0.000 0.357
O 13.961 0.000 7.093
O 16.120 0.000 5.207
```

Values from the calculation:
distance to the lowest polymorph of the same formula = 55 meV/atom
calculated formation energy = -1.829 eV/atom